VO2 | PBE+U | optimized geometry

Computed properties:
Space group: C2/m
Calculated formation energy, eV per atom: -2.4603

a = 6.4735 Å, b = 6.4735 Å, c = 6.4901 Å
α = 106.16°, β = 106.16°, γ = 33.64°
Element x y z (fractional)
1 V 0.1012 0.1012 0.1853
2 V 0.1962 0.1962 0.7756
3 V 0.8038 0.8038 0.2244
4 V 0.8988 0.8988 0.8147
5 O 0.0575 0.0575 0.8684
6 O 0.1391 0.1391 0.5042
7 O 0.2621 0.2621 0.1490
8 O 0.3653 0.3653 0.7992
9 O 0.6347 0.6347 0.2008
10 O 0.7379 0.7379 0.8510
11 O 0.8609 0.8609 0.4958
12 O 0.9425 0.9425 0.1316